Here is BaCu2O2 after structural relaxation from Materials Project. Energies are from meta-GGA r2SCAN.

SG ... No. 141

abc: 6.486 6.486 6.486
angles: 127.48 127.48 77.47
Fractional coordinates of all 10 atoms:
Ba1 0.375 0.625 0.750
Ba2 0.625 0.375 0.250
Cu1 0.000 0.000 0.000
Cu2 0.000 0.000 0.500
Cu3 0.000 0.500 0.000
Cu4 0.500 0.000 0.500
O1 0.112 0.362 0.750
O2 0.362 0.112 0.250
O3 0.638 0.888 0.750
O4 0.888 0.638 0.250

Here is Ba10Cu5O17 after structural relaxation from Materials Project. Energies are from meta-GGA r2SCAN.

SG ... No. 2

abc: 5.743 9.031 10.739
angles: 93.82 91.73 107.14
Fractional coordinates of all 32 atoms:
Ba1 0.034 0.030 0.184
Ba2 0.199 0.373 0.411
Ba3 0.219 0.429 0.783
Ba4 0.395 0.773 0.013
Ba5 0.411 0.825 0.382
Ba6 0.589 0.175 0.618
Ba7 0.605 0.227 0.987
Ba8 0.781 0.571 0.217
Ba9 0.801 0.627 0.589
Ba10 0.966 0.970 0.816
Cu1 0.000 0.000 0.500
Cu2 0.208 0.398 0.101
Cu3 0.385 0.793 0.706
Cu4 0.615 0.207 0.294
Cu5 0.792 0.602 0.899
O1 0.077 0.692 0.807
O2 0.088 0.176 0.616
O3 0.099 0.229 0.975
O4 0.278 0.085 0.414
O5 0.279 0.584 0.211
O6 0.289 0.632 0.576
O7 0.409 0.296 0.204
O8 0.456 0.979 0.809
O9 0.500 0.500 0.000
O10 0.544 0.021 0.191
O11 0.591 0.704 0.796
O12 0.711 0.368 0.424
O13 0.721 0.416 0.789
O14 0.722 0.915 0.586
O15 0.901 0.771 0.025
O16 0.912 0.824 0.384
O17 0.923 0.308 0.193

Here is Ba2CuP2O8 after structural relaxation from Materials Project. Energies are from meta-GGA r2SCAN.

SG ... No. 12

abc: 6.636 6.636 6.916
angles: 104.45 104.45 45.60
Fractional coordinates of all 13 atoms:
Ba1 0.174 0.174 0.215
Ba2 0.826 0.826 0.785
Cu1 0.500 0.500 0.500
P1 0.133 0.133 0.701
P2 0.867 0.867 0.299
O1 0.047 0.047 0.823
O2 0.122 0.635 0.437
O3 0.254 0.254 0.841
O4 0.365 0.878 0.563
O5 0.635 0.122 0.437
O6 0.746 0.746 0.159
O7 0.878 0.365 0.563
O8 0.953 0.953 0.177

Here is Ba3CuRu2O9 after structural relaxation from Materials Project. Energies are from meta-GGA r2SCAN.

SG ... No. 63

abc: 5.870 5.870 14.221
angles: 90.00 90.00 122.19
Fractional coordinates of all 30 atoms:
Ba1 0.020 0.980 0.750
Ba2 0.322 0.678 0.090
Ba3 0.322 0.678 0.410
Ba4 0.678 0.322 0.590
Ba5 0.678 0.322 0.910
Ba6 0.980 0.020 0.250
Cu1 0.000 0.000 0.000
Cu2 0.000 0.000 0.500
Ru1 0.353 0.647 0.654
Ru2 0.353 0.647 0.846
Ru3 0.647 0.353 0.154
Ru4 0.647 0.353 0.346
O1 0.051 0.490 0.750
O2 0.178 0.318 0.583
O3 0.178 0.318 0.917
O4 0.195 0.805 0.586
O5 0.195 0.805 0.914
O6 0.318 0.178 0.083
O7 0.318 0.178 0.417
O8 0.490 0.051 0.250
O9 0.497 0.503 0.250
O10 0.503 0.497 0.750
O11 0.510 0.949 0.750
O12 0.682 0.822 0.583
O13 0.682 0.822 0.917
O14 0.805 0.195 0.086
O15 0.805 0.195 0.414
O16 0.822 0.682 0.083
O17 0.822 0.682 0.417
O18 0.949 0.510 0.250

Here is Ba2TmCu4O8 after structural relaxation from Materials Project. Energies are from meta-GGA r2SCAN.

SG ... No. 65

abc: 13.697 13.697 3.834
angles: 90.00 90.00 163.84
Fractional coordinates of all 15 atoms:
Ba1 0.135 0.865 0.000
Ba2 0.865 0.135 0.000
Tm1 0.000 0.000 0.000
Cu1 0.287 0.713 0.500
Cu2 0.440 0.560 0.500
Cu3 0.560 0.440 0.500
Cu4 0.713 0.287 0.500
O1 0.051 0.949 0.500
O2 0.218 0.782 0.500
O3 0.355 0.645 0.500
O4 0.449 0.551 0.000
O5 0.551 0.449 0.000
O6 0.645 0.355 0.500
O7 0.782 0.218 0.500
O8 0.949 0.051 0.500

Here is Ba4YbCu3O9 after structural relaxation from Materials Project. Energies are from meta-GGA r2SCAN.

SG ... No. 223

abc: 8.046 8.046 8.046
angles: 90.00 90.00 90.00
Fractional coordinates of all 34 atoms:
Ba1 0.250 0.250 0.250
Ba2 0.250 0.250 0.750
Ba3 0.250 0.750 0.250
Ba4 0.250 0.750 0.750
Ba5 0.750 0.250 0.250
Ba6 0.750 0.250 0.750
Ba7 0.750 0.750 0.250
Ba8 0.750 0.750 0.750
Yb1 0.000 0.000 0.000
Yb2 0.500 0.500 0.500
Cu1 0.000 0.000 0.500
Cu2 0.000 0.500 0.000
Cu3 0.000 0.500 0.500
Cu4 0.500 0.000 0.000
Cu5 0.500 0.000 0.500
Cu6 0.500 0.500 0.000
O1 0.000 0.000 0.271
O2 0.000 0.000 0.729
O3 0.000 0.250 0.500
O4 0.000 0.271 0.000
O5 0.000 0.729 0.000
O6 0.000 0.750 0.500
O7 0.229 0.500 0.500
O8 0.250 0.500 0.000
O9 0.271 0.000 0.000
O10 0.500 0.000 0.250
O11 0.500 0.000 0.750
O12 0.500 0.229 0.500
O13 0.500 0.500 0.229
O14 0.500 0.500 0.771
O15 0.500 0.771 0.500
O16 0.729 0.000 0.000
O17 0.750 0.500 0.000
O18 0.771 0.500 0.500

| no. | spin magnetization (μB per atom) | DFT total energy (Ha/atom) |
| --- | --- | --- |
| 1 | 0.00 | -0.49596 |
| 2 | 0.03 | -0.55827 |
| 3 | 0.08 | -0.46494 |
| 4 | 0.47 | -0.55000 |
| 5 | 0.04 | -0.50905 |
| 6 | 0.00 | -0.57836 |